DFT (PBE+U) results for a relaxed structure of LiVPCO7.

Output
Calculated density (g/cm³): 2.5
Energy with MP2020 corrections (eV per cell): -345.74
Formation energy from the elements (eV/atom): -2.38
Relative energy among the computed polymorphs (meV per atom): 0

Unit cell a=8.3695 b=8.2537 c=8.2546 alpha=78.36 beta=93.68 gamma=86.28
Atoms (fractional coordinates):
O 0.4963 0.3579 0.8927
O 0.5037 0.1421 0.6073
O 0.3097 0.9337 0.1274
O 0.9230 0.1750 0.0747
O 0.0814 0.8423 0.4077
O 0.6904 0.0663 0.8725
O 0.5618 0.0864 0.1636
O 0.8096 0.8731 0.3769
O 0.0769 0.3249 0.4253
O 0.6904 0.5663 0.3726
O 0.4962 0.8580 0.3928
O 0.4382 0.4136 0.3365
O 0.4382 0.9136 0.8364
O 0.1904 0.1268 0.6231
O 0.6907 0.3772 0.1840
O 0.1904 0.6269 0.1231
O 0.3093 0.1228 0.3161
O 0.9230 0.6750 0.5747
O 0.3093 0.6228 0.8161
O 0.5618 0.5864 0.6636
O 0.6907 0.8772 0.6839
O 0.8096 0.3731 0.8769
O 0.9186 0.1576 0.5923
O 0.0770 0.8250 0.9253
O 0.0814 0.3423 0.9076
O 0.5037 0.6420 0.1074
O 0.9186 0.6578 0.0922
O 0.3096 0.4337 0.6274
Li 0.9002 0.9698 0.7801
Li 0.0999 0.5301 0.7199
Li 0.0999 0.0301 0.2198
Li 0.9001 0.4699 0.2801
C 0.0511 0.7007 0.0493
C 0.0510 0.2007 0.5493
C 0.9489 0.2993 0.9506
C 0.9489 0.7993 0.4507
P 0.4231 0.9988 0.2514
P 0.5769 0.0012 0.7486
P 0.4231 0.4988 0.7514
P 0.5769 0.5012 0.2487
V 0.6770 0.2306 0.0193
V 0.3229 0.2694 0.4807
V 0.6771 0.7307 0.5194
V 0.3231 0.7694 0.9807

DFT (PBE+U) results for a relaxed structure of LiVPCO7.

Output
Calculated density (g/cm³): 2.4
Energy with MP2020 corrections (eV per cell): -345.58
Formation energy from the elements (eV/atom): -2.37
Relative energy among the computed polymorphs (meV per atom): 4

Unit cell a=6.2452 b=8.7456 c=10.8019 alpha=86.69 beta=90.00 gamma=90.00
Atoms (fractional coordinates):
O 0.7706 0.4112 0.5664
O 0.2596 0.4818 0.2204
O 0.2598 0.4817 0.7204
O 0.7076 0.9255 0.8525
O 0.7667 0.1243 0.4763
O 0.7078 0.9254 0.3523
O 0.9589 0.6599 0.6050
O 0.2668 0.8755 0.5237
O 0.5643 0.6585 0.1010
O 0.2078 0.0746 0.1477
O 0.2706 0.5888 0.9336
O 0.7727 0.1695 0.2754
O 0.2729 0.8305 0.7245
O 0.7729 0.1696 0.7755
O 0.2667 0.8757 0.0237
O 0.7668 0.1245 0.9763
O 0.0647 0.3414 0.8990
O 0.2708 0.5887 0.4335
O 0.7596 0.5182 0.2796
O 0.9588 0.6600 0.1051
O 0.4587 0.3400 0.3949
O 0.7708 0.4113 0.0665
O 0.5647 0.6586 0.6010
O 0.0642 0.3415 0.3990
O 0.4589 0.3401 0.8950
O 0.2728 0.8305 0.2246
O 0.2076 0.0745 0.6475
O 0.7598 0.5183 0.7796
Li 0.9398 0.1825 0.1215
Li 0.9397 0.1824 0.6215
Li 0.4398 0.8175 0.3785
Li 0.4397 0.8176 0.8785
V 0.7545 0.3334 0.8951
V 0.7541 0.3332 0.3951
V 0.2546 0.6666 0.6049
V 0.2542 0.6668 0.1049
P 0.2586 0.4423 0.3610
P 0.2589 0.4424 0.8610
P 0.7587 0.5577 0.1390
P 0.7589 0.5576 0.6390
C 0.7494 0.0605 0.3670
C 0.7494 0.0606 0.8670
C 0.2495 0.9395 0.1330
C 0.2494 0.9394 0.6329

DFT (PBE+U) results for a relaxed structure of Li2PWCO7.

Output
Calculated density (g/cm³): 4.0
Energy with MP2020 corrections (eV per cell): -185.79
Formation energy from the elements (eV/atom): -2.24

Unit cell a=4.9982 b=6.6897 c=8.8146 alpha=90.00 beta=95.39 gamma=90.00
Atoms (fractional coordinates):
Li 0.2426 0.0198 0.2785
Li 0.2426 0.4802 0.2785
Li 0.7574 0.5198 0.7215
Li 0.7574 0.9802 0.7215
P 0.2699 0.7500 0.9076
P 0.7301 0.2500 0.0924
W 0.2098 0.2500 0.8439
W 0.7902 0.7500 0.1561
C 0.2903 0.2500 0.5551
C 0.7097 0.7500 0.4449
O 0.0520 0.2500 0.6058
O 0.1562 0.5656 0.8181
O 0.1562 0.9344 0.8181
O 0.1813 0.7500 0.0721
O 0.3282 0.2500 0.4152
O 0.4161 0.2500 0.0779
O 0.4929 0.2500 0.6654
O 0.5071 0.7500 0.3346
O 0.5839 0.7500 0.9221
O 0.6718 0.7500 0.5848
O 0.8187 0.2500 0.9279
O 0.8438 0.0656 0.1819
O 0.8438 0.4344 0.1819
O 0.9480 0.7500 0.3942

DFT (PBE+U) results for a relaxed structure of Li3PWCO7.

Output
Calculated density (g/cm³): 3.8
Energy with MP2020 corrections (eV per cell): -190.45
Formation energy from the elements (eV/atom): -2.10

Unit cell a=5.1124 b=6.6712 c=9.2790 alpha=90.00 beta=95.95 gamma=90.00
Atoms (fractional coordinates):
Li 0.1752 0.2500 0.1138
Li 0.3182 0.5373 0.7432
Li 0.3182 0.9627 0.7432
Li 0.6818 0.0373 0.2568
Li 0.6818 0.4627 0.2568
Li 0.8248 0.7500 0.8862
P 0.2305 0.2500 0.3906
P 0.7695 0.7500 0.6094
W 0.1539 0.7500 0.3244
W 0.8461 0.2500 0.6756
C 0.3407 0.7500 0.0403
C 0.6593 0.2500 0.9597
O 0.0904 0.7500 0.0342
O 0.0936 0.0701 0.3023
O 0.0936 0.4299 0.3023
O 0.1838 0.2500 0.5516
O 0.4618 0.7500 0.9246
O 0.4743 0.7500 0.6269
O 0.4746 0.7500 0.1720
O 0.5254 0.2500 0.8280
O 0.5257 0.2500 0.3731
O 0.5382 0.2500 0.0754
O 0.8162 0.7500 0.4484
O 0.9064 0.5701 0.6977
O 0.9064 0.9299 0.6977
O 0.9096 0.2500 0.9658

DFT (PBE+U) results for a relaxed structure of LiPWCO7.

Output
Calculated density (g/cm³): 3.8
Energy with MP2020 corrections (eV per cell): -177.20
Formation energy from the elements (eV/atom): -2.22

Unit cell a=5.1671 b=6.5355 c=8.9205 alpha=90.00 beta=94.47 gamma=90.00
Atoms (fractional coordinates):
Li 0.2393 0.0000 0.2123
Li 0.7607 0.5000 0.7877
P 0.2144 0.7566 0.5729
P 0.7856 0.2566 0.4271
W 0.2926 0.2519 0.6715
W 0.7074 0.7519 0.3285
C 0.2177 0.2635 0.9497
C 0.7823 0.7635 0.0503
O 0.0251 0.2837 0.8412
O 0.0862 0.2406 0.4625
O 0.1918 0.2362 0.0837
O 0.2754 0.9418 0.6753
O 0.3154 0.5654 0.6608
O 0.3405 0.7748 0.4223
O 0.4512 0.2663 0.8881
O 0.5488 0.7663 0.1119
O 0.6595 0.2748 0.5777
O 0.6846 0.0654 0.3392
O 0.7246 0.4418 0.3247
O 0.8082 0.7362 0.9163
O 0.9138 0.7406 0.5375
O 0.9749 0.7837 0.1588

DFT (PBE+U) results for a relaxed structure of LiVCSO7.

Output
Calculated density (g/cm³): 2.2
Energy with MP2020 corrections (eV per cell): -163.36
Formation energy from the elements (eV/atom): -2.06

Unit cell a=5.2836 b=6.4230 c=9.6209 alpha=90.00 beta=92.78 gamma=90.00
Atoms (fractional coordinates):
Li 0.2416 0.0000 0.1110
Li 0.7584 0.5000 0.8890
V 0.2807 0.6426 0.6543
V 0.7193 0.1426 0.3457
C 0.2337 0.6791 0.9054
C 0.7663 0.1791 0.0946
S 0.2277 0.1435 0.5716
S 0.7723 0.6435 0.4284
O 0.0435 0.6422 0.8115
O 0.0443 0.6480 0.4745
O 0.2013 0.7332 0.0272
O 0.2808 0.9594 0.6611
O 0.2875 0.3273 0.6614
O 0.3853 0.1421 0.4480
O 0.4555 0.6565 0.8487
O 0.5445 0.1565 0.1513
O 0.6147 0.6421 0.5520
O 0.7125 0.8273 0.3386
O 0.7192 0.4594 0.3389
O 0.7987 0.2332 0.9728
O 0.9557 0.1480 0.5255
O 0.9565 0.1422 0.1885

DFT (PBE+U) results for a relaxed structure of Li2VSiCO7.

Output
Calculated density (g/cm³): 2.6
Energy with MP2020 corrections (eV per cell): -368.68
Formation energy from the elements (eV/atom): -2.50
Relative energy among the computed polymorphs (meV per atom): 0

Unit cell a=8.2184 b=8.2186 c=9.2932 alpha=106.75 beta=106.76 gamma=102.28
Atoms (fractional coordinates):
O 0.2290 0.6799 0.7004
O 0.8857 0.6104 0.0906
O 0.7922 0.3504 0.3042
O 0.6392 0.8645 0.9095
O 0.7059 0.9915 0.1789
O 0.4472 0.6674 0.5261
O 0.3445 0.1177 0.5852
O 0.0828 0.8029 0.4740
O 0.1396 0.3641 0.9097
O 0.3805 0.6147 0.0728
O 0.6322 0.9059 0.4148
O 0.9473 0.1673 0.5262
O 0.8443 0.6176 0.5852
O 0.8804 0.1147 0.0728
O 0.7587 0.5441 0.8213
O 0.5824 0.3028 0.4738
O 0.2583 0.0438 0.8208
O 0.8993 0.9577 0.6958
O 0.0697 0.0207 0.2994
O 0.5700 0.5210 0.2995
O 0.1324 0.4055 0.4148
O 0.6353 0.3695 0.9272
O 0.1353 0.8695 0.9271
O 0.3998 0.4579 0.6959
O 0.2921 0.8504 0.3040
O 0.7295 0.1805 0.7006
O 0.3855 0.1107 0.0902
O 0.2062 0.4916 0.1791
Li 0.2056 0.2547 0.7196
Li 0.9954 0.5444 0.2805
Li 0.0729 0.8213 0.1023
Li 0.4282 0.6772 0.8976
Li 0.4947 0.0449 0.2805
Li 0.9286 0.1769 0.8977
Li 0.5729 0.3217 0.1023
Li 0.7052 0.7552 0.7195
C 0.2362 0.4854 0.0467
C 0.7646 0.5139 0.9536
C 0.7359 0.9856 0.0465
C 0.2644 0.0139 0.9533
Si 0.3008 0.5515 0.5781
Si 0.6984 0.4492 0.4219
Si 0.1985 0.9493 0.4219
Si 0.8008 0.0516 0.5781
V 0.4466 0.6910 0.3257
V 0.0589 0.8033 0.6742
V 0.9464 0.1908 0.3256
V 0.5593 0.3037 0.6744

DFT (PBE+U) results for a relaxed structure of Li2VSiCO7.

Output
Calculated density (g/cm³): 2.6
Energy with MP2020 corrections (eV per cell): -368.27
Formation energy from the elements (eV/atom): -2.49
Relative energy among the computed polymorphs (meV per atom): 9

Unit cell a=6.3288 b=10.2227 c=8.5382 alpha=86.61 beta=90.00 gamma=90.00
Atoms (fractional coordinates):
C 0.2500 0.1341 0.9460
C 0.2500 0.6342 0.9460
C 0.7500 0.3658 0.0541
C 0.7500 0.8659 0.0540
O 0.7500 0.8083 0.5485
O 0.2500 0.6918 0.4514
O 0.7500 0.0832 0.4025
O 0.2500 0.1485 0.0918
O 0.5424 0.0973 0.6754
O 0.5424 0.5973 0.6754
O 0.4576 0.9027 0.3246
O 0.2500 0.5184 0.8855
O 0.7500 0.3082 0.5486
O 0.7500 0.5831 0.4024
O 0.2500 0.9168 0.5975
O 0.7500 0.7667 0.1607
O 0.2500 0.0183 0.8855
O 0.2500 0.6486 0.0917
O 0.2500 0.7334 0.8392
O 0.4575 0.4027 0.3246
O 0.2500 0.2333 0.8393
O 0.9576 0.5973 0.6754
O 0.0424 0.4027 0.3246
O 0.7500 0.3514 0.9083
O 0.7500 0.2667 0.1608
O 0.7500 0.4816 0.1145
O 0.2500 0.1917 0.4515
O 0.0424 0.9027 0.3246
O 0.2500 0.4169 0.5976
O 0.7500 0.8515 0.9082
O 0.7500 0.9817 0.1145
O 0.9576 0.0973 0.6754
V 0.2500 0.0979 0.6576
V 0.7500 0.4021 0.3424
V 0.2500 0.5979 0.6576
V 0.7500 0.9021 0.3423
Li 0.0104 0.8804 0.7773
Li 0.9896 0.1196 0.2227
Li 0.9896 0.6196 0.2227
Li 0.0104 0.3804 0.7773
Li 0.4896 0.3804 0.7773
Li 0.5104 0.1196 0.2227
Li 0.5104 0.6196 0.2227
Li 0.4896 0.8804 0.7773
Si 0.2500 0.8523 0.4258
Si 0.7500 0.6477 0.5741
Si 0.2500 0.3523 0.4259
Si 0.7500 0.1477 0.5742